1.
Density functional theory data (PBE-GGA) for an optimized crystal structure of RhC2ClO2.

Values from the calculation:
Spin magnetization = 0.00 μB/cell
VASP energy = -6.88 eV per atom
Crystal system = tetragonal
Calculated formation energy = -19.5 kcal/mol of atoms

Cell lengths 12.1590, 12.1590, 12.1590 Å; angles 97.99, 97.99, 136.23 degrees
Element x y z (fractional)
Rh (0.0111, 0.4500, 0.9013)
Rh (0.2000, 0.2611, 0.4013)
Rh (0.2012, 0.8000, 0.0611)
Rh (0.5488, 0.1099, 0.0987)
Rh (0.5500, 0.4512, 0.5611)
Rh (0.7389, 0.1401, 0.9389)
Rh (0.8599, 0.7988, 0.5987)
Rh (0.8901, 0.9889, 0.4389)
C (0.0070, 0.7910, 0.6151)
C (0.0067, 0.9757, 0.7438)
C (0.0128, 0.4819, 0.7562)
C (0.0243, 0.7681, 0.0310)
C (0.1419, 0.4259, 0.8849)
C (0.1759, 0.3919, 0.3849)
C (0.2090, 0.8241, 0.2160)
C (0.2319, 0.2628, 0.2562)
C (0.5181, 0.2743, 0.5310)
C (0.5410, 0.2570, 0.1151)
C (0.5741, 0.4590, 0.7160)
C (0.6081, 0.9930, 0.7840)
C (0.7257, 0.2567, 0.2438)
C (0.7372, 0.9933, 0.9690)
C (0.7430, 0.8581, 0.2840)
C (0.7433, 0.9872, 0.4690)
Cl (0.0081, 0.4003, 0.0887)
Cl (0.0805, 0.9919, 0.3922)
Cl (0.1503, 0.2581, 0.5886)
Cl (0.3117, 0.9195, 0.9114)
Cl (0.4383, 0.8497, 0.1078)
Cl (0.5997, 0.6883, 0.6078)
Cl (0.6695, 0.5617, 0.4114)
Cl (0.7419, 0.3305, 0.8922)
O (0.0164, 0.4971, 0.6644)
O (0.0754, 0.7586, 0.6345)
O (0.1020, 0.0827, 0.8356)
O (0.1241, 0.4409, 0.3655)
O (0.1909, 0.3741, 0.8655)
O (0.2414, 0.8759, 0.3168)
O (0.2471, 0.2664, 0.1644)
O (0.5029, 0.1673, 0.5193)
O (0.5086, 0.3254, 0.1345)
O (0.5591, 0.9246, 0.6832)
O (0.6259, 0.4914, 0.8168)
O (0.6480, 0.9836, 0.4807)
O (0.6746, 0.8091, 0.1832)
O (0.7336, 0.8980, 0.9807)
O (0.8327, 0.3520, 0.3356)
O (0.9173, 0.7529, 0.0193)


2.
Density functional theory data (PBE-GGA) for an optimized crystal structure of Ru2C10S5Cl4O5.

Values from the calculation:
Spin magnetization = 0.02 μB/cell
VASP energy = -5.56 eV per atom
Crystal system = monoclinic
Calculated formation energy = 13.8 kcal/mol of atoms

Cell lengths 11.6694, 17.2096, 15.9813 Å; angles 90.00, 113.96, 90.00 degrees
Element x y z (fractional)
Ru (0.1663, 0.0103, 0.2758)
Ru (0.1663, 0.4897, 0.7758)
Ru (0.3226, 0.6033, 0.6963)
Ru (0.3226, 0.8967, 0.1963)
Ru (0.6774, 0.1033, 0.8037)
Ru (0.6774, 0.3967, 0.3037)
Ru (0.8337, 0.5103, 0.2242)
Ru (0.8337, 0.9897, 0.7242)
C (0.0196, 0.6615, 0.4556)
C (0.0196, 0.8385, 0.9556)
C (0.0704, 0.1570, 0.1241)
C (0.0704, 0.3430, 0.6241)
C (0.0734, 0.0996, 0.7245)
C (0.0734, 0.4004, 0.2245)
C (0.1029, 0.1593, 0.6887)
C (0.1029, 0.3407, 0.1887)
C (0.1267, 0.6805, 0.1826)
C (0.1267, 0.8195, 0.6826)
C (0.2088, 0.7182, 0.1651)
C (0.2088, 0.7818, 0.6651)
C (0.3647, 0.0964, 0.4839)
C (0.3647, 0.4036, 0.9839)
C (0.3670, 0.0253, 0.5095)
C (0.3670, 0.4747, 0.0095)
C (0.3753, 0.1078, 0.9033)
C (0.3753, 0.3922, 0.4033)
C (0.4701, 0.0736, 0.8981)
C (0.4701, 0.4264, 0.3981)
C (0.5299, 0.5736, 0.6019)
C (0.5299, 0.9264, 0.1019)
C (0.6247, 0.6078, 0.5967)
C (0.6247, 0.8922, 0.0967)
C (0.6330, 0.5253, 0.9905)
C (0.6330, 0.9747, 0.4905)
C (0.6353, 0.5964, 0.0161)
C (0.6353, 0.9036, 0.5161)
C (0.7912, 0.2182, 0.3349)
C (0.7912, 0.2818, 0.8349)
C (0.8733, 0.1805, 0.3174)
C (0.8733, 0.3195, 0.8174)
C (0.8971, 0.6593, 0.8113)
C (0.8971, 0.8407, 0.3113)
C (0.9266, 0.5996, 0.7755)
C (0.9266, 0.9004, 0.2755)
C (0.9296, 0.6570, 0.3759)
C (0.9296, 0.8430, 0.8759)
C (0.9804, 0.1615, 0.0444)
C (0.9804, 0.3385, 0.5444)
S (0.0333, 0.0160, 0.7459)
S (0.0333, 0.4840, 0.2459)
S (0.1170, 0.1341, 0.2301)
S (0.1170, 0.3659, 0.7301)
S (0.2208, 0.0478, 0.4228)
S (0.2208, 0.4522, 0.9228)
S (0.2726, 0.7159, 0.6274)
S (0.2726, 0.7841, 0.1274)
S (0.3883, 0.5661, 0.5924)
S (0.3883, 0.9339, 0.0924)
S (0.6117, 0.0661, 0.9076)
S (0.6117, 0.4339, 0.4076)
S (0.7274, 0.2159, 0.8726)
S (0.7274, 0.2841, 0.3726)
S (0.7792, 0.5478, 0.0772)
S (0.7792, 0.9522, 0.5772)
S (0.8830, 0.6341, 0.2699)
S (0.8830, 0.8659, 0.7699)
S (0.9667, 0.5160, 0.7541)
S (0.9667, 0.9840, 0.2541)
Cl (0.1224, 0.5361, 0.6223)
Cl (0.1224, 0.9639, 0.1223)
Cl (0.2354, 0.6231, 0.8118)
Cl (0.2354, 0.8769, 0.3118)
Cl (0.3759, 0.0222, 0.2810)
Cl (0.3759, 0.4778, 0.7810)
Cl (0.4814, 0.1500, 0.7035)
Cl (0.4814, 0.3500, 0.2035)
Cl (0.5186, 0.6500, 0.7965)
Cl (0.5186, 0.8500, 0.2965)
Cl (0.6241, 0.5222, 0.2190)
Cl (0.6241, 0.9778, 0.7190)
Cl (0.7646, 0.1231, 0.6882)
Cl (0.7646, 0.3769, 0.1882)
Cl (0.8776, 0.0361, 0.8777)
Cl (0.8776, 0.4639, 0.3777)
O (0.1180, 0.0633, 0.4496)
O (0.1180, 0.4367, 0.9496)
O (0.1208, 0.1952, 0.2942)
O (0.1208, 0.3048, 0.7942)
O (0.1308, 0.5431, 0.2826)
O (0.1308, 0.9569, 0.7826)
O (0.2986, 0.5340, 0.5060)
O (0.2986, 0.9660, 0.0060)
O (0.3119, 0.7396, 0.5552)
O (0.3119, 0.7604, 0.0552)
O (0.6881, 0.2396, 0.9448)
O (0.6881, 0.2604, 0.4448)
O (0.7014, 0.0340, 0.9940)
O (0.7014, 0.4660, 0.4940)
O (0.8692, 0.0431, 0.2174)
O (0.8692, 0.4569, 0.7174)
O (0.8792, 0.6952, 0.2058)
O (0.8792, 0.8048, 0.7058)
O (0.8820, 0.5633, 0.0504)
O (0.8820, 0.9367, 0.5504)


3.
Density functional theory data (PBE-GGA) for an optimized crystal structure of SbC2SCl3O.

Values from the calculation:
Spin magnetization = 0.00 μB/cell
VASP energy = -4.49 eV per atom
Crystal system = monoclinic
Calculated formation energy = 1.8 kcal/mol of atoms

Cell lengths 7.6453, 9.5441, 30.1453 Å; angles 90.00, 90.33, 90.00 degrees
Element x y z (fractional)
Sb (0.0312, 0.1578, 0.1131)
Sb (0.0312, 0.3422, 0.6131)
Sb (0.4682, 0.6783, 0.8762)
Sb (0.4682, 0.8217, 0.3762)
Sb (0.5318, 0.1783, 0.6238)
Sb (0.5318, 0.3217, 0.1238)
Sb (0.9688, 0.6578, 0.3869)
Sb (0.9688, 0.8422, 0.8869)
C (0.2010, 0.2259, 0.9952)
C (0.2010, 0.2741, 0.4952)
C (0.2878, 0.2210, 0.4624)
C (0.2878, 0.2790, 0.9624)
C (0.3128, 0.7331, 0.2129)
C (0.3128, 0.7669, 0.7129)
C (0.3272, 0.6419, 0.7294)
C (0.3272, 0.8581, 0.2294)
C (0.6728, 0.1419, 0.7706)
C (0.6728, 0.3581, 0.2706)
C (0.6872, 0.2331, 0.2871)
C (0.6872, 0.2669, 0.7871)
C (0.7122, 0.7210, 0.0376)
C (0.7122, 0.7790, 0.5376)
C (0.7990, 0.7259, 0.5048)
C (0.7990, 0.7741, 0.0048)
S (0.2765, 0.1352, 0.4169)
S (0.2765, 0.3648, 0.9169)
S (0.3924, 0.5774, 0.2128)
S (0.3924, 0.9226, 0.7128)
S (0.6076, 0.0774, 0.2872)
S (0.6076, 0.4226, 0.7872)
S (0.7235, 0.6352, 0.0831)
S (0.7235, 0.8648, 0.5831)
Cl (0.1490, 0.5310, 0.5718)
Cl (0.1490, 0.9690, 0.0718)
Cl (0.1917, 0.5119, 0.3515)
Cl (0.1917, 0.9881, 0.8515)
Cl (0.1993, 0.5969, 0.8327)
Cl (0.1993, 0.9031, 0.3327)
Cl (0.2520, 0.1395, 0.1726)
Cl (0.2520, 0.3605, 0.6726)
Cl (0.2855, 0.1074, 0.5729)
Cl (0.2855, 0.3926, 0.0729)
Cl (0.2928, 0.7124, 0.9425)
Cl (0.2928, 0.7876, 0.4425)
Cl (0.7072, 0.2124, 0.5575)
Cl (0.7072, 0.2876, 0.0575)
Cl (0.7145, 0.6074, 0.9271)
Cl (0.7145, 0.8926, 0.4271)
Cl (0.7480, 0.6395, 0.3274)
Cl (0.7480, 0.8605, 0.8274)
Cl (0.8007, 0.0969, 0.6673)
Cl (0.8007, 0.4031, 0.1673)
Cl (0.8083, 0.0119, 0.1485)
Cl (0.8083, 0.4881, 0.6485)
Cl (0.8510, 0.0310, 0.9282)
Cl (0.8510, 0.4690, 0.4282)
O (0.3292, 0.0130, 0.6759)
O (0.3292, 0.4870, 0.1759)
O (0.4498, 0.1038, 0.3963)
O (0.4498, 0.3962, 0.8963)
O (0.5502, 0.6038, 0.1037)
O (0.5502, 0.8962, 0.6037)
O (0.6708, 0.5130, 0.8241)
O (0.6708, 0.9870, 0.3241)


4.
Density functional theory data (PBE-GGA) for an optimized crystal structure of TcC5ClO5.

Values from the calculation:
Spin magnetization = 0.00 μB/cell
VASP energy = -7.67 eV per atom
Crystal system = orthorhombic
Calculated formation energy = -23.8 kcal/mol of atoms

Cell lengths 11.7289, 11.7855, 6.0668 Å; angles 90.00, 90.00, 90.00 degrees
Element x y z (fractional)
Tc (0.1247, 0.2500, 0.0508)
Tc (0.3753, 0.7500, 0.5508)
Tc (0.6247, 0.2500, 0.4492)
Tc (0.8753, 0.7500, 0.9492)
C (0.0280, 0.2500, 0.7954)
C (0.0292, 0.1285, 0.1910)
C (0.0292, 0.3715, 0.1910)
C (0.2243, 0.1286, 0.9167)
C (0.2243, 0.3714, 0.9167)
C (0.2757, 0.6286, 0.4167)
C (0.2757, 0.8714, 0.4167)
C (0.4708, 0.6285, 0.6911)
C (0.4708, 0.8715, 0.6911)
C (0.4720, 0.7500, 0.2954)
C (0.5280, 0.2500, 0.7046)
C (0.5292, 0.1285, 0.3090)
C (0.5292, 0.3715, 0.3090)
C (0.7243, 0.1286, 0.5833)
C (0.7243, 0.3714, 0.5833)
C (0.7757, 0.6286, 0.0833)
C (0.7757, 0.8714, 0.0833)
C (0.9708, 0.6285, 0.8089)
C (0.9708, 0.8715, 0.8089)
C (0.9720, 0.7500, 0.2046)
Cl (0.2490, 0.7500, 0.8814)
Cl (0.2510, 0.2500, 0.3814)
Cl (0.7490, 0.7500, 0.6186)
Cl (0.7510, 0.2500, 0.1186)
O (0.0243, 0.5559, 0.7353)
O (0.0243, 0.9441, 0.7353)
O (0.0314, 0.7500, 0.3579)
O (0.2197, 0.5587, 0.3407)
O (0.2197, 0.9413, 0.3407)
O (0.2803, 0.0587, 0.8407)
O (0.2803, 0.4413, 0.8407)
O (0.4686, 0.2500, 0.8579)
O (0.4757, 0.0559, 0.2353)
O (0.4757, 0.4441, 0.2353)
O (0.5243, 0.5559, 0.7647)
O (0.5243, 0.9441, 0.7647)
O (0.5314, 0.7500, 0.1421)
O (0.7197, 0.5587, 0.1593)
O (0.7197, 0.9413, 0.1593)
O (0.7803, 0.0587, 0.6593)
O (0.7803, 0.4413, 0.6593)
O (0.9686, 0.2500, 0.6421)
O (0.9757, 0.0559, 0.2647)
O (0.9757, 0.4441, 0.2647)


5.
Density functional theory data (PBE-GGA) for an optimized crystal structure of Pr11C11Cl7.

Values from the calculation:
Spin magnetization = 0.02 μB/cell
VASP energy = -6.72 eV per atom
Crystal system = monoclinic
Calculated formation energy = -25.6 kcal/mol of atoms

Cell lengths 7.7054, 46.9964, 6.8492 Å; angles 90.00, 103.90, 90.00 degrees
Element x y z (fractional)
Pr (0.0479, 0.2303, 0.3860)
Pr (0.0479, 0.2697, 0.8860)
Pr (0.1047, 0.5886, 0.3640)
Pr (0.1047, 0.9114, 0.8640)
Pr (0.1098, 0.5495, 0.8671)
Pr (0.1098, 0.9505, 0.3671)
Pr (0.1257, 0.1848, 0.8844)
Pr (0.1257, 0.3152, 0.3844)
Pr (0.1793, 0.6343, 0.8625)
Pr (0.1793, 0.8657, 0.3625)
Pr (0.1892, 0.5028, 0.3741)
Pr (0.1892, 0.9972, 0.8741)
Pr (0.1992, 0.1411, 0.3786)
Pr (0.1992, 0.3589, 0.8786)
Pr (0.2527, 0.6773, 0.3554)
Pr (0.2527, 0.8227, 0.8554)
Pr (0.2683, 0.0404, 0.3608)
Pr (0.2683, 0.4596, 0.8608)
Pr (0.2712, 0.0957, 0.8665)
Pr (0.2712, 0.4043, 0.3665)
Pr (0.3276, 0.7221, 0.8441)
Pr (0.3276, 0.7779, 0.3441)
Pr (0.6724, 0.2221, 0.6559)
Pr (0.6724, 0.2779, 0.1559)
Pr (0.7288, 0.5957, 0.6335)
Pr (0.7288, 0.9043, 0.1335)
Pr (0.7317, 0.5404, 0.1392)
Pr (0.7317, 0.9596, 0.6392)
Pr (0.7473, 0.1773, 0.1446)
Pr (0.7473, 0.3227, 0.6446)
Pr (0.8008, 0.6411, 0.1214)
Pr (0.8008, 0.8589, 0.6214)
Pr (0.8108, 0.0028, 0.1259)
Pr (0.8108, 0.4972, 0.6259)
Pr (0.8207, 0.1343, 0.6375)
Pr (0.8207, 0.3657, 0.1375)
Pr (0.8743, 0.6848, 0.6156)
Pr (0.8743, 0.8152, 0.1156)
Pr (0.8902, 0.0495, 0.6329)
Pr (0.8902, 0.4505, 0.1329)
Pr (0.8953, 0.0886, 0.1360)
Pr (0.8953, 0.4114, 0.6360)
Pr (0.9521, 0.7303, 0.1140)
Pr (0.9521, 0.7697, 0.6140)
C (0.0033, 0.6734, 0.0169)
C (0.0033, 0.8266, 0.5169)
C (0.0096, 0.0362, 0.0251)
C (0.0096, 0.4638, 0.5251)
C (0.0187, 0.1011, 0.5280)
C (0.0187, 0.3989, 0.0280)
C (0.0486, 0.6453, 0.4620)
C (0.0486, 0.8547, 0.9620)
C (0.0614, 0.0081, 0.4738)
C (0.0614, 0.4919, 0.9738)
C (0.0724, 0.1285, 0.9828)
C (0.0724, 0.3715, 0.4828)
C (0.0754, 0.7173, 0.5055)
C (0.0754, 0.7827, 0.0055)
C (0.1223, 0.0559, 0.9782)
C (0.1223, 0.4441, 0.4782)
C (0.1249, 0.6902, 0.9614)
C (0.1249, 0.8098, 0.4614)
C (0.1276, 0.0812, 0.4791)
C (0.1276, 0.4188, 0.9791)
C (0.1847, 0.7372, 0.4568)
C (0.1847, 0.7628, 0.9568)
C (0.8153, 0.2372, 0.0432)
C (0.8153, 0.2628, 0.5432)
C (0.8724, 0.5812, 0.0209)
C (0.8724, 0.9188, 0.5209)
C (0.8751, 0.1902, 0.5386)
C (0.8751, 0.3098, 0.0386)
C (0.8777, 0.5559, 0.5218)
C (0.8777, 0.9441, 0.0218)
C (0.9246, 0.2173, 0.9945)
C (0.9246, 0.2827, 0.4945)
C (0.9276, 0.6285, 0.5172)
C (0.9276, 0.8715, 0.0172)
C (0.9386, 0.5081, 0.0262)
C (0.9386, 0.9919, 0.5262)
C (0.9514, 0.1453, 0.0380)
C (0.9514, 0.3547, 0.5380)
C (0.9813, 0.6011, 0.9720)
C (0.9813, 0.8989, 0.4720)
C (0.9904, 0.5362, 0.4749)
C (0.9904, 0.9638, 0.9749)
C (0.9967, 0.1734, 0.4831)
C (0.9967, 0.3266, 0.9831)
Cl (0.3244, 0.2332, 0.7796)
Cl (0.3244, 0.2668, 0.2796)
Cl (0.3798, 0.5869, 0.7568)
Cl (0.3798, 0.9131, 0.2568)
Cl (0.3812, 0.5526, 0.2601)
Cl (0.3812, 0.9474, 0.7601)
Cl (0.3877, 0.1946, 0.2801)
Cl (0.3877, 0.3054, 0.7801)
Cl (0.4437, 0.6245, 0.2582)
Cl (0.4437, 0.8755, 0.7582)
Cl (0.4523, 0.5158, 0.7590)
Cl (0.4523, 0.9842, 0.2590)
Cl (0.4739, 0.1599, 0.7613)
Cl (0.4739, 0.3401, 0.2613)
Cl (0.5261, 0.6599, 0.7387)
Cl (0.5261, 0.8401, 0.2387)
Cl (0.5477, 0.0158, 0.7410)
Cl (0.5477, 0.4842, 0.2410)
Cl (0.5563, 0.1245, 0.2418)
Cl (0.5563, 0.3755, 0.7418)
Cl (0.6123, 0.6946, 0.2199)
Cl (0.6123, 0.8054, 0.7199)
Cl (0.6188, 0.0526, 0.2399)
Cl (0.6188, 0.4474, 0.7399)
Cl (0.6202, 0.0869, 0.7432)
Cl (0.6202, 0.4131, 0.2432)
Cl (0.6756, 0.7332, 0.7204)
Cl (0.6756, 0.7668, 0.2204)


Q: What is the spin magnetization in the fifth record?
A: 0.02 μB/cell